# 1
VASP calculation (PBE with a Hubbard U) on a relaxed SrSmZrFeO6 crystal.

space-group type	F-43m, No. 216
magnetization	5.00	Bohr magnetons per cell
electronic total energy	-7.715	eV per atom
V	133	Å³/cell
energy of formation from the pure elements	-3.042	eV/atom

POSCAR file:
```
SrSmZrFeO6
1.0
0.000 4.053 4.053
4.053 0.000 4.053
4.053 4.053 0.000
Sr Sm Zr Fe O
1 1 1 1 6
direct
0.000 0.000 0.000
0.500 0.500 0.500
0.750 0.750 0.750
0.250 0.250 0.250
0.005 0.005 0.495
0.005 0.495 0.005
0.005 0.495 0.495
0.495 0.005 0.005
0.495 0.005 0.495
0.495 0.495 0.005
```

# 2
VASP calculation (PBE with a Hubbard U) on a relaxed Sm2VFeO6 crystal.

space-group type	P2_1/c, No. 14
magnetization	14.00	Bohr magnetons per cell
electronic total energy	-7.893	eV per atom
V	242	Å³/cell
energy of formation from the pure elements	-3.033	eV/atom

POSCAR file:
```
Sm2VFeO6
1.0
5.435 0.000 0.000
0.000 5.681 0.000
-5.433 0.000 7.830
Sm V Fe O
4 2 2 12
direct
0.234 0.063 0.250
0.234 0.437 0.750
0.766 0.563 0.250
0.766 0.937 0.750
0.000 0.000 0.500
0.000 0.500 0.000
0.500 0.000 0.000
0.500 0.500 0.500
0.144 0.201 0.947
0.144 0.299 0.447
0.250 0.701 0.947
0.250 0.799 0.447
0.354 0.033 0.752
0.354 0.467 0.252
0.646 0.533 0.748
0.646 0.967 0.248
0.750 0.201 0.553
0.750 0.299 0.053
0.856 0.701 0.553
0.856 0.799 0.053
```

What is the magnetization in the first record?
5.00 Bohr magnetons per cell

Look up the electronic total energy of the second one.
-7.893 eV per atom

The lowest electronic total energy belongs to which entry?
Sm2VFeO6

energy of formation from the pure elements of number 2 (Sm2VFeO6)?
-3.033 eV/atom